This record from the Materials Project database describes a relaxed Li3FeP2O8 crystal. The functional is GGA+U.

Unit cell a=17.9148 b=4.9442 c=6.3843 alpha=87.01 beta=90.00 gamma=90.00
Last column: nearest neighbours and their distance in Å.
Fractional coordinates of all 56 atoms:
O (0.5669, 0.6462, 0.5356)  1 P 1.56
O (0.6991, 0.5197, 0.3216)  1 P 1.57
O (0.1735, 0.5554, 0.4025)  1 P 1.52
O (0.9331, 0.1462, 0.0356)  1 P 1.56
O (0.4331, 0.3538, 0.4644)  1 P 1.56
O (0.0521, 0.2888, 0.2252)  1 P 1.57
O (0.6906, 0.9761, 0.4897)  1 P 1.56
O (0.5521, 0.2112, 0.2748)  1 P 1.57
O (0.8009, 0.0197, 0.8216)  1 P 1.57
O (0.1991, 0.9803, 0.1784)  1 P 1.57
O (0.0643, 0.8621, 0.5680)  1 P 1.52
O (0.5643, 0.6379, 0.9320)  1 P 1.52
O (0.9479, 0.7112, 0.7748)  1 P 1.57
O (0.3265, 0.0554, 0.9025)  1 P 1.52
O (0.1982, 0.1150, 0.7308)  1 P 1.57
O (0.5604, 0.0892, 0.7292)  1 P 1.58
O (0.3018, 0.6150, 0.2308)  1 P 1.57
O (0.4357, 0.3621, 0.0680)  1 P 1.52
O (0.0669, 0.8538, 0.9644)  1 P 1.56
O (0.6735, 0.9446, 0.0975)  1 P 1.52
O (0.8265, 0.4446, 0.5975)  1 P 1.52
O (0.3009, 0.4803, 0.6784)  1 P 1.57
O (0.4396, 0.9108, 0.2708)  1 P 1.58
O (0.4479, 0.7888, 0.7252)  1 P 1.57
O (0.6982, 0.3850, 0.7692)  1 P 1.57
O (0.9396, 0.5892, 0.2292)  1 P 1.58
O (0.9357, 0.1379, 0.4320)  1 P 1.52
O (0.1906, 0.5239, 0.0103)  1 P 1.56
O (0.8018, 0.8850, 0.2692)  1 P 1.57
O (0.0604, 0.4108, 0.7708)  1 P 1.58
O (0.8094, 0.4761, 0.9897)  1 P 1.56
O (0.3094, 0.0239, 0.5103)  1 P 1.56
P (0.7844, 0.3307, 0.7895)  4 O 1.52-1.57
P (0.7156, 0.8307, 0.2895)  4 O 1.52-1.57
P (0.2844, 0.1693, 0.7105)  4 O 1.52-1.57
P (0.5358, 0.7823, 0.7324)  4 O 1.52-1.58
P (0.2156, 0.6693, 0.2105)  4 O 1.52-1.57
P (0.9642, 0.2823, 0.2324)  4 O 1.52-1.58
P (0.0358, 0.7177, 0.7676)  4 O 1.52-1.58
P (0.4642, 0.2177, 0.2676)  4 O 1.52-1.58
Li (0.5562, 0.7796, 0.2182)  4 O 2.00-2.22
Li (0.8008, 0.3173, 0.3116)  4 O 2.01-2.17
Li (0.4438, 0.2204, 0.7818)  4 O 2.00-2.22
Li (0.6992, 0.8173, 0.8116)  4 O 2.01-2.17
Li (0.3008, 0.1827, 0.1884)  4 O 2.01-2.17
Li (0.3839, 0.7200, 0.0042)  5 O 2.02-2.23
Li (0.1992, 0.6827, 0.6884)  4 O 2.01-2.17
Li (0.1161, 0.2200, 0.5042)  5 O 2.02-2.23
Li (0.8839, 0.7800, 0.4958)  5 O 2.02-2.23
Li (0.9438, 0.2796, 0.7182)  4 O 2.00-2.22
Li (0.0562, 0.7204, 0.2818)  4 O 2.00-2.22
Li (0.6161, 0.2800, 0.9958)  5 O 2.02-2.23
Fe (0.6270, 0.3057, 0.5144)  6 O 2.00-2.12
Fe (0.1270, 0.1943, 0.9856)  6 O 2.00-2.12
Fe (0.8730, 0.8057, 0.0144)  6 O 2.00-2.12
Fe (0.3730, 0.6943, 0.4856)  6 O 2.00-2.12

Output
- Relative energy among the computed polymorphs: 18 meV per atom
- Crystal system: monoclinic
- Calculated formation energy: -245.4 kJ/mol of atoms